Compound: Na3AsS4O8
Source: Materials Project
Functional: PBE-GGA
Structure: optimized geometry

Output
Electronic total energy in eV per atom: -4.988
Excess energy over the best structure of this formula in the dataset in eV/atom: 0.114
Formation enthalpy at 0 K in eV/atom: -1.02

The structure in CIF format:
```
data_Na3AsS4O8
_cell_length_a 10.033
_cell_length_b 10.717
_cell_length_c 12.119
_cell_angle_alpha 90.00
_cell_angle_beta 105.33
_cell_angle_gamma 90.00
_space_group_name_H-M_alt 'P 1'
_space_group_IT_number 1
loop_
_space_group_symop_operation_xyz
'x,y,z'
loop_
_atom_site_label
_atom_site_fract_x
_atom_site_fract_y
_atom_site_fract_z
_atom_site_occupancy
S1 0.720 0.431 0.258 1
S2 0.590 0.651 0.811 1
S3 0.280 0.931 0.242 1
S4 0.926 0.586 0.779 1
S5 0.332 0.302 0.490 1
S6 0.590 0.849 0.311 1
S7 0.410 0.349 0.189 1
S8 0.410 0.151 0.689 1
S9 0.668 0.802 0.010 1
S10 0.668 0.698 0.510 1
S11 0.720 0.069 0.758 1
S12 0.074 0.086 0.721 1
S13 0.074 0.414 0.221 1
S14 0.926 0.914 0.279 1
S15 0.332 0.198 0.990 1
S16 0.280 0.569 0.742 1
Na1 0.163 0.900 0.553 1
Na2 0.837 0.400 0.947 1
Na3 0.837 0.100 0.447 1
Na4 0.700 0.402 0.562 1
Na5 0.500 0.500 0.000 1
Na6 0.700 0.098 0.062 1
Na7 0.000 0.500 0.500 1
Na8 0.500 0.000 0.500 1
Na9 0.300 0.598 0.438 1
Na10 0.163 0.600 0.053 1
Na11 0.000 0.000 0.000 1
Na12 0.300 0.902 0.938 1
O1 0.161 0.674 0.555 1
O2 0.695 0.408 0.132 1
O3 0.806 0.307 0.322 1
O4 0.956 0.913 0.408 1
O5 0.194 0.807 0.178 1
O6 0.629 0.520 0.865 1
O7 0.529 0.861 0.989 1
O8 0.044 0.413 0.092 1
O9 0.225 0.104 0.000 1
O10 0.854 0.034 0.233 1
O11 0.471 0.139 0.011 1
O12 0.044 0.087 0.592 1
O13 0.146 0.534 0.267 1
O14 0.839 0.326 0.445 1
O15 0.775 0.896 0.000 1
O16 0.629 0.980 0.365 1
O17 0.839 0.174 0.945 1
O18 0.146 0.966 0.767 1
O19 0.529 0.639 0.489 1
O20 0.305 0.592 0.868 1
O21 0.854 0.466 0.733 1
O22 0.806 0.193 0.822 1
O23 0.194 0.693 0.678 1
O24 0.471 0.361 0.511 1
O25 0.305 0.908 0.368 1
O26 0.775 0.604 0.500 1
O27 0.371 0.020 0.635 1
O28 0.225 0.396 0.500 1
O29 0.956 0.587 0.908 1
O30 0.161 0.826 0.055 1
O31 0.371 0.480 0.135 1
O32 0.695 0.092 0.632 1
As1 0.736 0.750 0.731 1
As2 0.736 0.750 0.231 1
As3 0.264 0.250 0.769 1
As4 0.264 0.250 0.269 1
```